*w*
20
Lattice="4.047 -4.244 0.000 4.047 4.244 0.000 0.000 0.000 8.026" Properties=species:S:1:pos:R:3 comment="K4MgCu3F12 | the Materials Project database | PBE | optimized geometry" vol_a3_per_atom=13.8 crystal_system=orthorhombic m_tot_mub_per_fu=3.0 pbc="T T T"
K 2.023 2.122 1.991
K 2.023 2.122 6.035
K 2.023 -2.122 1.991
K 2.023 -2.122 6.035
Mg 0.000 0.000 0.000
Cu 0.000 0.000 4.013
Cu 4.047 0.000 0.000
Cu 4.047 0.000 4.013
F 0.000 0.000 2.048
F 0.000 0.000 5.978
F 4.047 2.287 0.000
F 1.954 0.000 4.013
F 2.062 0.000 0.000
F 4.047 1.945 4.013
F 4.047 0.000 1.973
F 4.047 0.000 6.053
F 4.047 -1.945 4.013
F 6.032 0.000 0.000
F 6.140 0.000 4.013
F 4.047 -2.287 0.000

*x*
20
Lattice="4.051 -8.140 0.000 4.051 8.140 0.000 0.000 0.000 4.102" Properties=species:S:1:pos:R:3 comment="K4MgCu3F12 | the Materials Project database | PBE | optimized geometry" vol_a3_per_atom=13.5 crystal_system=orthorhombic m_tot_mub_per_fu=3.0 pbc="T T T"
K 2.008 2.051 0.000
K 2.008 -2.051 0.000
K 6.093 2.051 0.000
K 6.093 -2.051 0.000
Mg 4.051 0.000 2.051
Cu 0.000 0.000 2.051
Cu 4.051 4.059 2.051
Cu 4.051 -4.059 2.051
F 0.000 0.000 0.000
F 2.025 4.070 2.051
F 4.051 6.063 2.051
F 2.025 0.000 2.051
F 4.051 4.061 0.000
F 4.051 2.009 2.051
F 2.025 -4.070 2.051
F 4.051 0.000 0.000
F 4.051 -2.009 2.051
F 4.051 -4.061 0.000
F 6.077 0.000 2.051
F 4.051 -6.063 2.051

Stability comparison, relative energies in kJ/mol of atoms: *w* 0.7; *x* 0.0

*w*
11
Lattice="6.668 -1.562 0.000 6.668 1.562 0.000 -4.861 0.000 6.818" Properties=species:S:1:pos:R:3 comment="Li2Cu2F7 | the Materials Project database | PBE | optimized geometry" vol_a3_per_atom=12.9 crystal_system=monoclinic m_tot_mub_per_fu=3.0 pbc="T T T"
Li 0.000 0.000 0.000
Li 5.009 0.000 3.031
Cu -1.101 0.000 5.487
Cu 8.970 0.000 1.689
F -0.531 0.000 3.704
F 2.834 0.000 0.391
F 1.917 0.000 2.770
F 7.212 0.000 0.828
F 4.415 0.000 4.994
F 6.789 0.000 6.028
F 10.739 0.000 2.296

*x*
44
Lattice="13.036 0.000 0.000 0.000 5.900 0.000 0.000 0.000 7.029" Properties=species:S:1:pos:R:3 comment="Li2Cu2F7 | the Materials Project database | PBE | optimized geometry" vol_a3_per_atom=12.3 crystal_system=orthorhombic m_tot_mub_per_fu=1.0 pbc="T T T"
Li 0.630 0.541 0.000
Li 2.452 0.966 3.494
Li 4.066 3.916 7.008
Li 5.888 3.491 3.514
Li 7.148 2.409 0.000
Li 8.970 1.984 3.494
Li 10.583 4.934 7.008
Li 12.406 5.359 3.514
Cu 1.346 3.825 1.868
Cu 1.363 3.718 5.194
Cu 5.155 0.768 1.680
Cu 5.172 0.875 5.382
Cu 7.864 5.025 1.868
Cu 7.881 5.132 5.194
Cu 11.673 2.182 1.680
Cu 11.690 2.075 5.382
F 0.471 1.870 1.354
F 0.529 1.746 5.599
F 1.223 4.602 6.978
F 1.328 5.339 3.280
F 1.567 2.762 3.524
F 3.107 3.456 1.530
F 3.136 3.503 5.433
F 3.382 0.553 1.919
F 3.411 0.506 5.045
F 4.951 5.712 0.010
F 5.190 2.389 6.794
F 5.295 1.652 3.463
F 5.989 4.696 2.085
F 6.047 4.820 4.869
F 6.989 1.080 1.354
F 7.047 1.204 5.599
F 7.741 4.248 6.978
F 7.846 3.511 3.280
F 8.085 0.188 3.524
F 9.625 5.394 1.530
F 9.654 5.347 5.433
F 9.900 2.397 1.919
F 9.929 2.444 5.045
F 11.469 3.138 0.010
F 11.708 0.561 6.794
F 11.813 1.298 3.463
F 12.507 4.154 2.085
F 12.565 4.030 4.869

*y*
22
Lattice="5.334 0.000 0.000 0.595 6.418 0.000 2.375 2.420 8.018" Properties=species:S:1:pos:R:3 comment="Li2Cu2F7 | the Materials Project database | PBE | optimized geometry" vol_a3_per_atom=12.5 crystal_system=triclinic m_tot_mub_per_fu=0.9 pbc="T T T"
Li 1.234 2.414 2.874
Li 4.263 5.554 5.883
Li 4.041 3.284 2.135
Li 7.069 6.425 5.143
Cu 3.607 8.380 6.648
Cu 2.725 5.805 2.435
Cu 5.579 3.033 5.583
Cu 4.697 0.458 1.370
F 1.796 2.179 4.854
F 2.937 6.649 6.737
F 1.676 6.042 0.706
F 2.272 3.950 2.425
F 3.368 5.779 4.243
F 3.912 3.653 6.408
F 2.989 1.178 2.095
F 5.315 7.660 5.923
F 4.392 5.185 1.610
F 4.936 3.059 3.775
F 6.032 4.888 5.592
F 6.627 2.796 7.312
F 5.367 2.189 1.281
F 6.508 6.659 3.164

Stability comparison, relative energies in kJ/mol of atoms: *w* 1.1; *x* 3.7; *y* 0.0

*w*
22
Lattice="5.198 0.000 0.000 0.412 6.703 0.000 1.981 2.637 7.857" Properties=species:S:1:pos:R:3 comment="Li2Cu2F7 | the Materials Project database | PBE | optimized geometry" vol_a3_per_atom=12.4 crystal_system=triclinic m_tot_mub_per_fu=3.0 pbc="T T T"
Li 1.216 0.758 2.040
Li 3.770 7.465 7.117
Li 3.820 1.875 0.740
Li 6.374 8.583 5.817
Cu 1.817 4.090 2.612
Cu 3.248 4.066 6.432
Cu 4.342 5.274 1.425
Cu 5.774 5.250 5.245
F 0.759 4.445 0.803
F 1.186 2.392 2.961
F 2.528 2.289 6.408
F 2.267 4.339 4.636
F 2.675 5.831 2.312
F 2.056 1.347 0.357
F 4.113 5.855 6.106
F 3.477 3.486 1.752
F 5.535 7.993 7.500
F 4.915 3.510 5.545
F 5.324 5.002 3.221
F 5.063 7.051 1.449
F 6.405 6.948 4.896
F 6.832 4.896 7.054

*x*
44
Lattice="7.490 0.000 0.000 0.000 5.064 0.000 -1.701 0.000 12.800" Properties=species:S:1:pos:R:3 comment="Li2Cu2F7 | the Materials Project database | PBE | optimized geometry" vol_a3_per_atom=11.0 crystal_system=monoclinic m_tot_mub_per_fu=3.0 pbc="T T T"
Li 0.661 0.000 0.918
Li 0.950 2.238 4.652
Li 1.064 4.941 7.654
Li 1.078 2.358 12.080
Li 4.711 4.889 0.720
Li 4.726 2.410 5.146
Li 4.840 4.770 8.148
Li 5.129 2.532 11.882
Cu -0.831 2.361 7.793
Cu -0.756 4.917 10.458
Cu 2.840 2.303 2.324
Cu 2.891 4.877 5.038
Cu 2.899 2.345 7.762
Cu 2.950 4.834 10.476
Cu 6.545 2.385 2.342
Cu 6.621 4.893 5.007
F -0.316 0.859 3.418
F -1.137 4.032 12.092
F -0.290 1.404 6.079
F -0.328 0.662 8.695
F -0.509 1.500 11.313
F 0.987 2.978 2.665
F 0.960 4.153 5.299
F 0.989 3.057 7.927
F 2.287 1.223 0.889
F 1.089 4.166 10.660
F 2.363 0.887 3.558
F 2.388 1.391 6.134
F 3.175 3.692 1.110
F 2.445 0.740 8.790
F 3.345 3.271 4.010
F 2.614 1.160 11.690
F 3.401 3.923 6.666
F 3.427 3.419 9.242
F 4.701 1.634 2.140
F 3.503 3.755 11.911
F 4.801 0.525 4.873
F 4.830 1.621 7.501
F 4.803 0.447 10.136
F 6.299 4.032 1.487
F 6.117 3.193 4.105
F 6.080 3.935 6.721
F 6.927 1.500 0.708
F 6.106 3.391 9.382

*y*
22
Lattice="1.960 -12.921 0.000 1.960 12.921 0.000 0.000 0.000 5.245" Properties=species:S:1:pos:R:3 comment="Li2Cu2F7 | the Materials Project database | PBE | optimized geometry" vol_a3_per_atom=12.1 crystal_system=orthorhombic m_tot_mub_per_fu=0.0 pbc="T T T"
Li 1.960 11.064 2.623
Li 1.960 7.031 5.114
Li 1.960 -7.031 2.491
Li 1.960 -11.064 0.000
Cu 1.960 4.127 4.769
Cu 1.960 1.361 2.241
Cu 1.960 -1.361 4.864
Cu 1.960 -4.127 2.146
F 1.960 11.629 4.631
F 1.960 9.109 2.195
F 1.960 5.694 3.662
F 1.960 5.295 1.011
F 1.960 3.011 3.204
F 1.960 2.375 0.533
F 1.960 0.423 3.953
F 1.960 -0.423 1.330
F 1.960 -2.375 3.156
F 1.960 -3.011 0.581
F 1.960 -5.295 3.634
F 1.960 -5.694 1.039
F 1.960 -9.109 4.817
F 1.960 -11.629 2.008

*z*
22
Lattice="0.000 5.016 5.016 5.016 0.000 5.016 5.016 5.016 0.000" Properties=species:S:1:pos:R:3 comment="Li2Cu2F7 | the Materials Project database | PBE | optimized geometry" vol_a3_per_atom=11.5 crystal_system=cubic m_tot_mub_per_fu=3.0 pbc="T T T"
Li 0.000 0.000 0.000
Li 2.508 2.508 0.000
Li 2.508 0.000 2.508
Li 0.000 2.508 2.508
Cu 5.016 2.508 2.508
Cu 2.508 5.016 2.508
Cu 2.508 2.508 5.016
Cu 5.016 5.016 5.016
F 1.254 1.254 1.254
F 3.762 3.762 1.718
F 3.762 1.718 3.762
F 5.806 3.762 3.762
F 6.270 6.270 4.226
F 6.270 4.226 6.270
F 8.314 6.270 6.270
F 1.718 3.762 3.762
F 3.762 5.806 3.762
F 3.762 3.762 5.806
F 4.226 6.270 6.270
F 6.270 8.314 6.270
F 6.270 6.270 8.314
F 8.778 8.778 8.778

Stability comparison, relative energies in kJ/mol of atoms: *w* 0.0; *x* 1.7; *y* 5.7; *z* 3.8